Entry 1:
# Na6PbO5 | Materials Project | PBE | optimized geometry
data_Na6PbO5
_chemical_formula_sum 'Na12 Pb2 O10'
_cell_length_a 7.829
_cell_length_b 7.829
_cell_length_c 6.022
_cell_angle_alpha 90.00
_cell_angle_beta 90.00
_cell_angle_gamma 90.00
_space_group_name_H-M_alt 'I 4 m m'
_space_group_IT_number 107
_space_group_name_Hall 'I 4 -2'
loop_
_atom_site_label
_atom_site_fract_x
_atom_site_fract_y
_atom_site_fract_z
Na1 0.000 0.500 0.000
Na2 0.204 0.204 0.256
Pb1 0.000 0.000 0.693
O1 0.000 0.000 0.331
O2 0.000 0.279 0.751
# * spin magnetization: 0.000 μB per atom
# * electronic total energy: -4.28 eV/atom
# * crystal system: tetragonal
# * piezoelectric modulus e_max: 3.68 C/m2
# * ΔH_f (0 K): -1.536 eV/atom



Entry 2:
# Rb3NaPbO4 | Materials Project | PBE | optimized geometry
data_Rb3NaPbO4
_chemical_formula_sum 'Rb12 Na4 Pb4 O16'
_cell_length_a 11.173
_cell_length_b 6.780
_cell_length_c 11.292
_cell_angle_alpha 90.00
_cell_angle_beta 111.65
_cell_angle_gamma 90.00
_space_group_name_H-M_alt 'P 1 21/c 1'
_space_group_IT_number 14
_space_group_name_Hall '-P 2ybc'
loop_
_atom_site_label
_atom_site_fract_x
_atom_site_fract_y
_atom_site_fract_z
Rb1 0.034 0.176 0.172
Rb2 0.319 0.621 0.893
Rb3 0.456 0.107 0.812
Na1 0.125 0.619 0.109
Pb1 0.241 0.143 0.990
O1 0.105 0.126 0.455
O2 0.204 0.006 0.812
O3 0.229 0.575 0.619
O4 0.429 0.238 0.554
# * spin magnetization: 0.000 μB per atom
# * electronic total energy: -4.34 eV/atom
# * crystal system: monoclinic
# * ΔH_f (0 K): -1.556 eV/atom



Entry 3:
# Na2PdO3 | Materials Project | PBE | optimized geometry
data_Na2PdO3
_chemical_formula_sum 'Na64 Pd32 O96'
_cell_length_a 5.621
_cell_length_b 9.753
_cell_length_c 37.962
_cell_angle_alpha 90.00
_cell_angle_beta 92.32
_cell_angle_gamma 90.00
_space_group_name_H-M_alt 'C 1 2 1'
_space_group_IT_number 5
_space_group_name_Hall 'C 2y'
loop_
_atom_site_label
_atom_site_fract_x
_atom_site_fract_y
_atom_site_fract_z
Na1 0.000 0.000 0.000
Na2 0.000 0.166 0.500
Na3 0.000 0.342 0.000
Na4 0.000 0.510 0.500
Na5 0.000 0.684 0.000
Na6 0.000 0.851 0.500
Na7 0.061 0.842 0.687
Na8 0.062 0.342 0.188
Na9 0.109 0.005 0.376
Na10 0.124 0.675 0.375
Na11 0.125 0.842 0.875
Na12 0.126 0.184 0.875
Na13 0.126 0.500 0.875
Na14 0.140 0.346 0.375
Na15 0.187 0.842 0.062
Na16 0.190 0.009 0.562
Na17 0.248 0.500 0.251
Na18 0.249 0.184 0.250
Na19 0.249 0.342 0.750
Pd1 0.061 0.010 0.188
Pd2 0.061 0.674 0.188
Pd3 0.064 0.175 0.687
Pd4 0.065 0.509 0.687
Pd5 0.186 0.342 0.562
Pd6 0.187 0.174 0.063
Pd7 0.187 0.510 0.063
Pd8 0.188 0.676 0.562
O1 0.016 0.022 0.090
O2 0.016 0.190 0.589
O3 0.016 0.662 0.090
O4 0.018 0.830 0.589
O5 0.055 0.342 0.090
O6 0.057 0.509 0.589
O7 0.068 0.341 0.286
O8 0.071 0.842 0.785
O9 0.107 0.662 0.286
O10 0.109 0.022 0.286
O11 0.110 0.161 0.785
O12 0.110 0.522 0.785
O13 0.140 0.329 0.465
O14 0.141 0.162 0.964
O15 0.141 0.522 0.964
O16 0.141 0.689 0.465
O17 0.180 0.009 0.465
O18 0.180 0.842 0.965
O19 0.194 0.842 0.161
O20 0.195 0.342 0.660
O21 0.233 0.021 0.660
O22 0.233 0.162 0.161
O23 0.233 0.523 0.161
O24 0.236 0.661 0.660
# * electronic total energy: -4.80 eV/atom
# * crystal system: monoclinic
# * ΔH_f (0 K): -1.364 eV/atom



Entry 4:
# NaTbPd6O8 | Materials Project | PBE | optimized geometry
data_NaTbPd6O8
_chemical_formula_sum 'Na1 Tb1 Pd6 O8'
_cell_length_a 5.835
_cell_length_b 5.835
_cell_length_c 5.835
_cell_angle_alpha 90.00
_cell_angle_beta 90.00
_cell_angle_gamma 90.00
_space_group_name_H-M_alt 'P m -3'
_space_group_IT_number 200
_space_group_name_Hall '-P 2 2 3'
loop_
_atom_site_label
_atom_site_fract_x
_atom_site_fract_y
_atom_site_fract_z
Na1 0.000 0.000 0.000
Tb1 0.500 0.500 0.500
Pd1 0.000 0.249 0.500
O1 0.259 0.259 0.259
# * spin magnetization: 0.000 μB per atom
# * electronic total energy: -5.89 eV/atom
# * crystal system: cubic
# * ΔH_f (0 K): -1.445 eV/atom



Entry 5:
# NaYPd6O8 | Materials Project | PBE | optimized geometry
data_NaYPd6O8
_chemical_formula_sum 'Na1 Y1 Pd6 O8'
_cell_length_a 5.832
_cell_length_b 5.832
_cell_length_c 5.832
_cell_angle_alpha 90.00
_cell_angle_beta 90.00
_cell_angle_gamma 90.00
_space_group_name_H-M_alt 'P m -3'
_space_group_IT_number 200
_space_group_name_Hall '-P 2 2 3'
loop_
_atom_site_label
_atom_site_fract_x
_atom_site_fract_y
_atom_site_fract_z
Na1 0.000 0.000 0.000
Y1 0.500 0.500 0.500
Pd1 0.000 0.248 0.500
O1 0.258 0.258 0.258
# * spin magnetization: 0.000 μB per atom
# * electronic total energy: -6.00 eV/atom
# * crystal system: cubic
# * ΔH_f (0 K): -1.436 eV/atom



Entry 6:
# Na2PrO3 | Materials Project | PBE | optimized geometry
data_Na2PrO3
_chemical_formula_sum 'Na16 Pr8 O24'
_cell_length_a 6.186
_cell_length_b 10.767
_cell_length_c 11.475
_cell_angle_alpha 90.00
_cell_angle_beta 100.31
_cell_angle_gamma 90.00
_space_group_name_H-M_alt 'C 1 2/c 1'
_space_group_IT_number 15
_space_group_name_Hall '-C 2yc'
loop_
_atom_site_label
_atom_site_fract_x
_atom_site_fract_y
_atom_site_fract_z
Na1 0.000 0.082 0.250
Na2 0.241 0.076 0.999
Na3 0.250 0.250 0.500
Pr1 0.000 0.252 0.750
Pr2 0.000 0.415 0.250
O1 0.108 0.420 0.636
O2 0.140 0.262 0.133
O3 0.143 0.097 0.633
# * spin magnetization: 0.167 μB per atom
# * electronic total energy: -5.68 eV/atom
# * crystal system: monoclinic
# * ΔH_f (0 K): -2.307 eV/atom



Entry 7:
# Na2PrO3 | Materials Project | PBE | optimized geometry
data_Na2PrO3
_chemical_formula_sum 'Na48 Pr24 O72'
_cell_length_a 7.519
_cell_length_b 13.791
_cell_length_c 19.027
_cell_angle_alpha 90.00
_cell_angle_beta 91.81
_cell_angle_gamma 90.00
_space_group_name_H-M_alt 'C 1 2/c 1'
_space_group_IT_number 15
_space_group_name_Hall '-C 2yc'
loop_
_atom_site_label
_atom_site_fract_x
_atom_site_fract_y
_atom_site_fract_z
Na1 0.000 0.000 0.000
Na2 0.000 0.295 0.250
Na3 0.049 0.156 0.586
Na4 0.087 0.322 0.486
Na5 0.183 0.452 0.331
Na6 0.190 0.207 0.355
Na7 0.205 0.160 0.816
Pr1 0.000 0.035 0.250
Pr2 0.000 0.355 0.750
Pr3 0.142 0.500 0.084
Pr4 0.209 0.157 0.082
O1 0.009 0.342 0.130
O2 0.020 0.340 0.617
O3 0.028 0.024 0.380
O4 0.102 0.153 0.704
O5 0.104 0.155 0.466
O6 0.168 0.496 0.957
O7 0.171 0.494 0.713
O8 0.186 0.167 0.211
O9 0.248 0.330 0.054
# * spin magnetization: 0.167 μB per atom
# * electronic total energy: -5.58 eV/atom
# * crystal system: monoclinic
# * ΔH_f (0 K): -2.212 eV/atom



Entry 8:
# Na2PrO3 | Materials Project | PBE | optimized geometry
data_Na2PrO3
_chemical_formula_sum 'Na2 Pr1 O3'
_cell_length_a 4.777
_cell_length_b 4.777
_cell_length_c 4.806
_cell_angle_alpha 90.00
_cell_angle_beta 90.00
_cell_angle_gamma 90.00
_space_group_name_H-M_alt 'P 4/m m m'
_space_group_IT_number 123
_space_group_name_Hall '-P 4 2'
loop_
_atom_site_label
_atom_site_fract_x
_atom_site_fract_y
_atom_site_fract_z
Na1 0.000 0.500 0.000
Pr1 0.000 0.000 0.500
O1 0.000 0.000 0.000
O2 0.000 0.500 0.500
# * spin magnetization: 0.173 μB per atom
# * electronic total energy: -5.58 eV/atom
# * crystal system: tetragonal
# * ΔH_f (0 K): -2.215 eV/atom



Entry 9:
# Na2PrO3 | Materials Project | PBE | optimized geometry
data_Na2PrO3
_chemical_formula_sum 'Na4 Pr2 O6'
_cell_length_a 3.601
_cell_length_b 4.775
_cell_length_c 10.524
_cell_angle_alpha 90.00
_cell_angle_beta 90.00
_cell_angle_gamma 90.00
_space_group_name_H-M_alt 'I m m m'
_space_group_IT_number 71
_space_group_name_Hall '-I 2 2'
loop_
_atom_site_label
_atom_site_fract_x
_atom_site_fract_y
_atom_site_fract_z
Na1 0.000 0.000 0.171
Pr1 0.000 0.000 0.500
O1 0.000 0.500 0.150
O2 0.000 0.500 0.500
# * spin magnetization: 0.167 μB per atom
# * electronic total energy: -5.68 eV/atom
# * crystal system: orthorhombic
# * ΔH_f (0 K): -2.317 eV/atom



Entry 10:
# Na2PrO3 | Materials Project | PBE | optimized geometry
data_Na2PrO3
_chemical_formula_sum 'Na16 Pr8 O24'
_cell_length_a 6.995
_cell_length_b 9.955
_cell_length_c 11.322
_cell_angle_alpha 90.00
_cell_angle_beta 107.77
_cell_angle_gamma 90.00
_space_group_name_H-M_alt 'C 1 2/c 1'
_space_group_IT_number 15
_space_group_name_Hall '-C 2yc'
loop_
_atom_site_label
_atom_site_fract_x
_atom_site_fract_y
_atom_site_fract_z
Na1 0.076 0.119 0.405
Na2 0.249 0.126 0.741
Pr1 0.080 0.373 0.914
O1 0.089 0.392 0.429
O2 0.093 0.140 0.929
O3 0.229 0.375 0.750
# * spin magnetization: 0.167 μB per atom
# * electronic total energy: -5.68 eV/atom
# * crystal system: monoclinic
# * ΔH_f (0 K): -2.308 eV/atom